Material: K2TbF6
Method: DFT, PBE-GGA
State: optimized geometry

Properties
energy of formation: -3.3680 eV/atom

extended XYZ file:
```
18
Lattice="3.498 -5.749 0.000 3.498 5.749 0.000 -0.081 0.000 7.424" Properties=species:S:1:pos:R:3 pbc="T T T"
K 3.244 3.893 7.413
K 3.631 3.893 3.723
K 3.284 -3.893 3.701
K 3.672 -3.893 0.011
Tb 3.438 0.442 5.568
Tb 3.478 -0.442 1.856
F 2.007 2.225 5.376
F 1.320 0.174 2.157
F 1.279 -0.174 5.869
F 3.183 1.218 0.323
F 3.774 1.218 3.389
F 2.048 -2.225 1.664
F 4.868 2.225 5.759
F 3.142 -1.218 4.035
F 3.733 -1.218 7.100
F 5.637 0.174 1.554
F 5.596 -0.174 5.266
F 4.908 -2.225 2.048
```